1.
Computed, not measured: a relaxed Li3TiV2O6 crystal at the PBE with a Hubbard U level of DFT.

Lattice parameters (Å, degrees): 2.9434 6.0198 13.1699 103.93 90.00 90.01
Fractional coordinates of all 24 atoms:
1 Ti 0.9983 0.3335 0.6667
2 Ti 0.4983 0.3335 0.1667
3 V 0.9980 0.6710 0.3340
4 V 0.4980 0.6710 0.8340
5 V 0.9982 0.9954 0.9994
6 V 0.4983 0.9955 0.4993
7 Li 0.9977 0.8338 0.6668
8 Li 0.9988 0.1592 0.3335
9 Li 0.4962 0.5069 0.4997
10 Li 0.9962 0.5068 0.9996
11 Li 0.4976 0.8338 0.1668
12 Li 0.4988 0.1592 0.8335
13 O 0.4980 0.4191 0.3230
14 O 0.9983 0.2471 0.5103
15 O 0.9980 0.4193 0.8231
16 O 0.4983 0.1023 0.6659
17 O 0.4981 0.9097 0.3344
18 O 0.9983 0.1023 0.1659
19 O 0.4981 0.7569 0.9989
20 O 0.4982 0.2471 0.0103
21 O 0.9981 0.5644 0.1675
22 O 0.9981 0.7568 0.4989
23 O 0.9981 0.9098 0.8345
24 O 0.4981 0.5645 0.6675

ΔE to the lowest computed polymorph = 6 meV/atom
DFT total energy = -7.149 eV/atom
energy with MP2020 corrections = -7.776 eV per atom

2.
Computed, not measured: a relaxed Li3TiV2O6 crystal at the PBE with a Hubbard U level of DFT.

Lattice parameters (Å, degrees): 5.9691 6.6559 6.0613 104.35 89.42 103.01
Fractional coordinates of all 24 atoms:
1 O 0.2463 0.0028 0.7610
2 O 0.9170 0.6732 0.9150
3 O 0.5840 0.3251 0.1090
4 O 0.7629 0.0186 0.2404
5 O 0.4133 0.6493 0.4088
6 O 0.9134 0.6493 0.4089
7 O 0.2629 0.0187 0.2403
8 O 0.0827 0.3310 0.5615
9 O 0.5827 0.3311 0.5615
10 O 0.4172 0.6731 0.9150
11 O 0.7463 0.0028 0.7609
12 O 0.0840 0.3251 0.1090
13 Ti 0.8346 0.3404 0.3424
14 Ti 0.3345 0.3404 0.3423
15 Li 0.4998 0.9954 0.5014
16 Li 0.8354 0.3351 0.8399
17 Li 0.1677 0.6701 0.1614
18 Li 0.6676 0.6701 0.1614
19 Li 0.9998 0.9954 0.5014
20 Li 0.3352 0.3351 0.8398
21 V 0.5019 0.9918 0.9931
22 V 0.0018 0.9919 0.9932
23 V 0.1665 0.6674 0.6657
24 V 0.6665 0.6674 0.6656

ΔE to the lowest computed polymorph = 0 meV/atom
DFT total energy = -7.155 eV/atom
energy with MP2020 corrections = -7.782 eV per atom

3.
Computed, not measured: a relaxed LiTi3V5O16 crystal at the PBE with a Hubbard U level of DFT.

Lattice parameters (Å, degrees): 5.8838 5.9850 9.2029 89.86 90.13 120.32
Fractional coordinates of all 25 atoms:
1 Ti 0.1940 0.3379 0.2058
2 Ti 0.3224 0.1505 0.6930
3 Ti 0.1529 0.8275 0.2090
4 V 0.8254 0.1617 0.7040
5 V 0.6750 0.8570 0.2107
6 V 0.3314 0.6581 0.4776
7 V 0.6758 0.3351 0.9846
8 V 0.8175 0.6572 0.7076
9 O 0.9569 0.4762 0.8305
10 O 0.3429 0.1678 0.1021
11 O 0.4924 0.9526 0.3355
12 O 0.8473 0.1842 0.1066
13 O 0.5226 0.4805 0.8297
14 O 0.3359 0.6723 0.0958
15 O 0.4818 0.5269 0.3381
16 O 0.8304 0.6747 0.1071
17 O 0.0158 0.0111 0.3135
18 O 0.1552 0.3306 0.5992
19 O 0.5224 0.0392 0.8270
20 O 0.9951 0.9955 0.8047
21 O 0.0558 0.5350 0.3412
22 O 0.6570 0.3286 0.5955
23 O 0.6391 0.8199 0.6000
24 O 0.1544 0.8196 0.5999
25 Li 0.3340 0.6671 0.8827

DFT total energy = -8.019 eV/atom
energy with MP2020 corrections = -8.799 eV per atom

4.
Computed, not measured: a relaxed Li3Ti3VO8 crystal at the PBE with a Hubbard U level of DFT.

Lattice parameters (Å, degrees): 5.9191 10.5018 10.3081 79.30 73.31 90.01
Fractional coordinates of all 60 atoms:
1 O 0.9400 0.8000 0.6195
2 O 0.0680 0.2014 0.3768
3 O 0.8193 0.4485 0.8774
4 O 0.8168 0.4272 0.3664
5 O 0.1819 0.5485 0.1231
6 O 0.1870 0.0693 0.6260
7 O 0.3142 0.4296 0.3716
8 O 0.9358 0.3205 0.1284
9 O 0.6830 0.0693 0.6339
10 O 0.5670 0.6808 0.8661
11 O 0.3101 0.9500 0.8806
12 O 0.4309 0.3017 0.6226
13 O 0.0591 0.7016 0.3795
14 O 0.9465 0.3017 0.6226
15 O 0.3033 0.4484 0.8774
16 O 0.4403 0.8001 0.6195
17 O 0.8142 0.9312 0.3717
18 O 0.9343 0.8248 0.1314
19 O 0.4331 0.3228 0.1337
20 O 0.0653 0.1734 0.8692
21 O 0.6885 0.0484 0.1204
22 O 0.6951 0.5484 0.1231
23 O 0.5639 0.1824 0.8720
24 O 0.1847 0.5766 0.6307
25 O 0.0629 0.6805 0.8740
26 O 0.5550 0.2015 0.3768
27 O 0.6860 0.5675 0.6281
28 O 0.3157 0.9252 0.3686
29 O 0.5614 0.7015 0.3796
30 O 0.8096 0.9499 0.8806
31 O 0.1911 0.0483 0.1204
32 O 0.4358 0.8190 0.1283
33 Ti 0.7478 0.7500 0.5041
34 Ti 0.6249 0.3749 0.2501
35 Ti 0.1249 0.8749 0.2501
36 Ti 0.3768 0.6228 0.7524
37 Ti 0.5023 0.0000 0.9956
38 Ti 0.1250 0.3749 0.2502
39 Ti 0.3791 0.1274 0.7473
40 Ti 0.8735 0.1273 0.7474
41 Ti 0.0013 0.5019 0.9977
42 Ti 0.8708 0.6227 0.7524
43 Ti 0.2486 0.2480 0.5025
44 Ti 0.6251 0.8749 0.2501
45 V 0.7490 0.2491 0.5019
46 V 0.2498 0.7500 0.5003
47 V 0.0002 0.0000 0.9997
48 V 0.5010 0.5009 0.9980
49 Li 0.5010 0.4985 0.5008
50 Li 0.9984 0.0010 0.4998
51 Li 0.6250 0.3750 0.7500
52 Li 0.2518 0.2515 0.9992
53 Li 0.1250 0.8750 0.7500
54 Li 0.3758 0.6245 0.2484
55 Li 0.5018 0.0010 0.4998
56 Li 0.2517 0.7490 0.0002
57 Li 0.7481 0.7490 0.0003
58 Li 0.8742 0.1255 0.2516
59 Li 0.7490 0.2515 0.9992
60 Li 0.9982 0.4985 0.5008

ΔE to the lowest computed polymorph = 25 meV/atom
DFT total energy = -7.644 eV/atom
energy with MP2020 corrections = -8.124 eV per atom

5.
Computed, not measured: a relaxed Li4Ti2V3O10 crystal at the PBE with a Hubbard U level of DFT.

Lattice parameters (Å, degrees): 6.7263 7.8451 7.9479 95.97 114.52 90.88
Fractional coordinates of all 38 atoms:
1 Li 0.9043 0.2964 0.2216
2 Li 0.2499 0.7562 0.4901
3 Li 0.3208 0.0855 0.4043
4 Li 0.8113 0.5941 0.4062
5 Li 0.6792 0.9145 0.5957
6 Li 0.7501 0.2438 0.5099
7 Li 0.0957 0.7036 0.7784
8 Li 0.1887 0.4059 0.5938
9 Ti 0.3484 0.4604 0.3093
10 Ti 0.6516 0.5396 0.6907
11 Ti 0.8343 0.9411 0.3128
12 Ti 0.1657 0.0589 0.6872
13 O 0.2598 0.9345 0.9264
14 O 0.5288 0.6537 0.4672
15 O 0.9075 0.1125 0.7616
16 O 0.1854 0.2235 0.1463
17 O 0.7402 0.0655 0.0736
18 O 0.0925 0.8875 0.2384
19 O 0.3979 0.6174 0.7643
20 O 0.7654 0.4410 0.9406
21 O 0.3050 0.2787 0.8521
22 O 0.0929 0.5205 0.3397
23 O 0.4712 0.3463 0.5328
24 O 0.5953 0.0286 0.3442
25 O 0.6950 0.7213 0.1479
26 O 0.6021 0.3826 0.2357
27 O 0.4047 0.9714 0.6558
28 O 0.0274 0.1592 0.4621
29 O 0.9726 0.8408 0.5379
30 O 0.8146 0.7765 0.8537
31 O 0.9071 0.4795 0.6603
32 O 0.2346 0.5590 0.0594
33 V 0.0289 0.3480 0.9001
34 V 0.9711 0.6520 0.0999
35 V 0.0000 0.0000 0.0000
36 V 0.5396 0.8557 0.9034
37 V 0.5000 0.5000 0.0000
38 V 0.4604 0.1443 0.0966

DFT total energy = -7.380 eV/atom
energy with MP2020 corrections = -8.010 eV per atom

6.
Computed, not measured: a relaxed Li2TiV2O6 crystal at the PBE with a Hubbard U level of DFT.

Lattice parameters (Å, degrees): 5.9743 6.0676 6.6778 103.36 102.96 89.73
Fractional coordinates of all 22 atoms:
1 O 0.0764 0.0832 0.3095
2 O 0.5764 0.0832 0.3095
3 O 0.7569 0.2502 0.0239
4 O 0.9165 0.4509 0.6638
5 O 0.5903 0.5678 0.3550
6 O 0.4165 0.4509 0.6638
7 O 0.2569 0.2501 0.0239
8 O 0.2430 0.7655 0.9784
9 O 0.0904 0.5678 0.3549
10 O 0.9169 0.8824 0.6696
11 O 0.7430 0.7655 0.9784
12 O 0.4169 0.8824 0.6695
13 V 0.3369 0.3201 0.3423
14 V 0.9965 0.0133 0.9910
15 V 0.4964 0.0133 0.9910
16 V 0.8368 0.3200 0.3424
17 Li 0.9980 0.4858 0.9914
18 Li 0.4980 0.4859 0.9914
19 Li 0.3354 0.8475 0.3419
20 Li 0.8353 0.8475 0.3419
21 Ti 0.6667 0.6666 0.6666
22 Ti 0.1667 0.6667 0.6667

ΔE to the lowest computed polymorph = 0 meV/atom
DFT total energy = -7.474 eV/atom
energy with MP2020 corrections = -8.158 eV per atom

7.
Computed, not measured: a relaxed Li2TiV3O8 crystal at the PBE with a Hubbard U level of DFT.

Lattice parameters (Å, degrees): 5.9524 5.9524 5.9524 60.57 60.57 60.57
Fractional coordinates of all 14 atoms:
1 O 0.2624 0.2624 0.2624
2 O 0.7352 0.2864 0.7352
3 O 0.7352 0.7352 0.2864
4 O 0.7136 0.2648 0.2648
5 O 0.2864 0.7352 0.7352
6 O 0.7376 0.7376 0.7376
7 O 0.2648 0.2648 0.7136
8 O 0.2648 0.7136 0.2648
9 Li 0.8738 0.8738 0.8738
10 Li 0.1262 0.1262 0.1262
11 V 0.0000 0.5000 0.5000
12 V 0.5000 0.0000 0.5000
13 V 0.5000 0.5000 0.0000
14 Ti 0.5000 0.5000 0.5000

ΔE to the lowest computed polymorph = 15 meV/atom
DFT total energy = -7.563 eV/atom
energy with MP2020 corrections = -8.320 eV per atom

8.
Computed, not measured: a relaxed Li2TiV3O8 crystal at the PBE with a Hubbard U level of DFT.

Lattice parameters (Å, degrees): 6.0370 8.3520 6.0467 89.50 89.01 90.57
Fractional coordinates of all 28 atoms:
1 O 0.2406 0.5186 0.7690
2 O 0.4704 0.7396 0.9919
3 O 0.7420 0.0087 0.7178
4 O 0.7579 0.4914 0.7822
5 O 0.9698 0.2402 0.4941
6 O 0.5193 0.2354 0.4929
7 O 0.2595 0.9813 0.7309
8 O 0.7423 0.0196 0.2676
9 O 0.0297 0.7604 0.5082
10 O 0.2417 0.5079 0.2185
11 O 0.5301 0.2599 0.0059
12 O 0.2583 0.9922 0.2815
13 O 0.7577 0.4805 0.2324
14 O 0.9807 0.2647 0.0071
15 O 0.4766 0.7634 0.5041
16 O 0.0235 0.7366 0.9959
17 V 0.7500 0.2499 0.7499
18 V 0.4991 0.5000 0.0006
19 V 0.2500 0.7501 0.7499
20 V 0.0009 0.0001 0.4995
21 V 0.7500 0.2498 0.2501
22 V 0.2500 0.7500 0.2500
23 Li 0.7465 0.8740 0.9921
24 Li 0.2461 0.3740 0.4933
25 Li 0.2539 0.1260 0.0066
26 Li 0.7535 0.6260 0.5079
27 Ti 0.4995 0.0014 0.4998
28 Ti 0.0005 0.4987 0.0004

ΔE to the lowest computed polymorph = 4 meV/atom
DFT total energy = -7.574 eV/atom
energy with MP2020 corrections = -8.331 eV per atom

9.
Computed, not measured: a relaxed Li4Ti4V5O18 crystal at the PBE with a Hubbard U level of DFT.

Lattice parameters (Å, degrees): 2.9734 9.1485 25.3772 90.00 90.00 90.00
Fractional coordinates of all 62 atoms:
1 V 0.0000 0.0000 0.0000
2 V 0.0000 0.4824 0.6902
3 V 0.5000 0.8538 0.0854
4 V 0.0000 0.9824 0.8098
5 V 0.0000 0.5176 0.3098
6 V 0.0000 0.0176 0.1902
7 V 0.5000 0.6462 0.5854
8 V 0.5000 0.1462 0.9146
9 V 0.5000 0.3538 0.4146
10 V 0.0000 0.5000 0.5000
11 Li 0.0000 0.1821 0.2987
12 Li 0.0000 0.6924 0.9903
13 Li 0.0000 0.8076 0.4903
14 Li 0.0000 0.3179 0.7987
15 Li 0.0000 0.8179 0.7013
16 Li 0.0000 0.3076 0.0097
17 Li 0.0000 0.6821 0.2013
18 Li 0.0000 0.1924 0.5097
19 O 0.5000 0.6507 0.2822
20 O 0.0000 0.2986 0.9173
21 O 0.0000 0.1857 0.6461
22 O 0.5000 0.3961 0.3375
23 O 0.0000 0.0948 0.7423
24 O 0.0000 0.7986 0.5827
25 O 0.5000 0.5581 0.9404
26 O 0.0000 0.0001 0.9252
27 O 0.0000 0.6857 0.8539
28 O 0.5000 0.1507 0.2178
29 O 0.5000 0.4501 0.8414
30 O 0.5000 0.8516 0.0040
31 O 0.5000 0.6039 0.6625
32 O 0.5000 0.3516 0.4960
33 O 0.5000 0.9501 0.6586
34 O 0.0000 0.3143 0.1461
35 O 0.0000 0.2014 0.4173
36 O 0.5000 0.6484 0.5040
37 O 0.5000 0.0581 0.5596
38 O 0.0000 0.5001 0.5748
39 O 0.5000 0.1039 0.8375
40 O 0.5000 0.1484 0.9960
41 O 0.0000 0.9052 0.2577
42 O 0.0000 0.5948 0.7577
43 O 0.0000 0.7014 0.0827
44 O 0.0000 0.4999 0.4252
45 O 0.5000 0.5499 0.1586
46 O 0.0000 0.4052 0.2423
47 O 0.0000 0.8143 0.3539
48 O 0.5000 0.0499 0.3414
49 O 0.0000 0.9999 0.0748
50 O 0.5000 0.9419 0.4404
51 O 0.5000 0.8961 0.1625
52 O 0.5000 0.4419 0.0596
53 O 0.5000 0.3493 0.7178
54 O 0.5000 0.8493 0.7822
55 Ti 0.5000 0.8525 0.3052
56 Ti 0.0000 0.9971 0.6021
57 Ti 0.0000 0.5029 0.1021
58 Ti 0.0000 0.0029 0.3979
59 Ti 0.0000 0.4971 0.8979
60 Ti 0.5000 0.1475 0.6948
61 Ti 0.5000 0.3525 0.1948
62 Ti 0.5000 0.6475 0.8052

DFT total energy = -7.747 eV/atom
energy with MP2020 corrections = -8.420 eV per atom

10.
Computed, not measured: a relaxed Li3Ti2V2O8 crystal at the PBE with a Hubbard U level of DFT.

Lattice parameters (Å, degrees): 5.9900 5.9900 6.0316 59.81 59.81 59.79
Fractional coordinates of all 15 atoms:
1 V 0.5000 0.5000 0.0000
2 V 0.5000 0.5000 0.5000
3 Li 0.0000 0.0000 0.0000
4 Li 0.0000 0.5000 0.5000
5 Li 0.5000 0.0000 0.5000
6 O 0.2502 0.2502 0.7705
7 O 0.2473 0.7203 0.7791
8 O 0.7498 0.7498 0.2295
9 O 0.7527 0.2797 0.2209
10 O 0.2541 0.2541 0.2209
11 O 0.7203 0.2473 0.7791
12 O 0.7459 0.7459 0.7791
13 O 0.2797 0.7527 0.2209
14 Ti 0.0000 0.5000 0.0000
15 Ti 0.5000 0.0000 0.0000

DFT total energy = -7.486 eV/atom
energy with MP2020 corrections = -8.079 eV per atom

11.
Computed, not measured: a relaxed Li2Ti3VO8 crystal at the PBE with a Hubbard U level of DFT.

Lattice parameters (Å, degrees): 5.9874 10.4213 10.3873 80.16 73.25 90.00
Fractional coordinates of all 56 atoms:
1 O 0.7923 0.9533 0.8729
2 O 0.1846 0.0772 0.6309
3 O 0.9146 0.7968 0.6272
4 O 0.8154 0.9228 0.3691
5 O 0.0418 0.7032 0.3728
6 O 0.6779 0.0676 0.6442
7 O 0.9279 0.8176 0.1443
8 O 0.8349 0.4533 0.8729
9 O 0.0721 0.1824 0.8557
10 O 0.7077 0.5467 0.1271
11 O 0.0854 0.2032 0.3728
12 O 0.4583 0.7968 0.6272
13 O 0.8221 0.4324 0.3558
14 O 0.5655 0.1728 0.8690
15 O 0.5417 0.2032 0.3728
16 O 0.5721 0.6824 0.8557
17 O 0.6651 0.0467 0.1271
18 O 0.1652 0.5467 0.1271
19 O 0.3154 0.4228 0.3691
20 O 0.2923 0.4533 0.8729
21 O 0.9582 0.2968 0.6272
22 O 0.4146 0.2968 0.6272
23 O 0.9345 0.3272 0.1310
24 O 0.6846 0.5772 0.6309
25 O 0.0655 0.6728 0.8690
26 O 0.2077 0.0467 0.1271
27 O 0.3221 0.9324 0.3558
28 O 0.5854 0.7032 0.3728
29 O 0.4345 0.8272 0.1310
30 O 0.4279 0.3176 0.1443
31 O 0.3348 0.9533 0.8729
32 O 0.1779 0.5676 0.6442
33 Ti 0.8751 0.1250 0.7499
34 Ti 0.1250 0.3750 0.2501
35 Ti 0.3750 0.1250 0.7499
36 Ti 0.6249 0.3750 0.2501
37 Ti 0.0000 0.5000 0.0000
38 Ti 0.5000 0.0000 0.0000
39 Ti 0.2500 0.2500 0.5000
40 Ti 0.3751 0.6250 0.7499
41 Ti 0.8750 0.6250 0.7499
42 Ti 0.6250 0.8750 0.2501
43 Ti 0.7500 0.7500 0.5000
44 Ti 0.1249 0.8750 0.2501
45 V 0.1248 0.3752 0.7503
46 V 0.8752 0.6248 0.2497
47 V 0.6248 0.8752 0.7503
48 V 0.3752 0.1248 0.2497
49 Li 0.0304 0.8480 0.9392
50 Li 0.2196 0.9020 0.5608
51 Li 0.5304 0.3480 0.9392
52 Li 0.2804 0.5980 0.4392
53 Li 0.7804 0.0980 0.4392
54 Li 0.7196 0.4020 0.5608
55 Li 0.4696 0.6520 0.0608
56 Li 0.9696 0.1520 0.0608

ΔE to the lowest computed polymorph = 12 meV/atom
DFT total energy = -8.026 eV/atom
energy with MP2020 corrections = -8.540 eV per atom